The following is a GGA-PBE calculation of a relaxed ReTe8Cl6 crystal, from the Materials Project database.

Properties
DFT formation energy = -533 meV per atom

Structure (POSCAR):
```
ReTe8Cl6
1.0
6.320 -5.063 0.000
6.320 5.063 0.000
-0.262 0.000 32.322
Re Te Cl
4 32 24
direct
0.000 0.000 0.000 Re
0.000 0.000 0.500 Re
0.078 0.922 0.750 Re
0.922 0.078 0.250 Re
0.210 0.445 0.640 Te
0.212 0.225 0.880 Te
0.223 0.442 0.187 Te
0.225 0.212 0.380 Te
0.250 0.520 0.918 Te
0.263 0.686 0.340 Te
0.284 0.323 0.067 Te
0.314 0.737 0.160 Te
0.323 0.284 0.567 Te
0.338 0.358 0.311 Te
0.358 0.338 0.811 Te
0.386 0.582 0.437 Te
0.418 0.614 0.063 Te
0.442 0.223 0.687 Te
0.445 0.210 0.140 Te
0.480 0.750 0.582 Te
0.520 0.250 0.418 Te
0.555 0.790 0.860 Te
0.558 0.777 0.313 Te
0.582 0.386 0.937 Te
0.614 0.418 0.563 Te
0.642 0.662 0.189 Te
0.662 0.642 0.689 Te
0.677 0.716 0.433 Te
0.686 0.263 0.840 Te
0.716 0.677 0.933 Te
0.737 0.314 0.660 Te
0.750 0.480 0.082 Te
0.775 0.788 0.620 Te
0.777 0.558 0.813 Te
0.788 0.775 0.120 Te
0.790 0.555 0.360 Te
0.018 0.709 0.014 Cl
0.035 0.089 0.569 Cl
0.040 0.221 0.756 Cl
0.051 0.895 0.822 Cl
0.066 0.716 0.523 Cl
0.089 0.035 0.069 Cl
0.105 0.949 0.678 Cl
0.109 0.627 0.741 Cl
0.221 0.040 0.256 Cl
0.284 0.934 0.977 Cl
0.291 0.982 0.486 Cl
0.373 0.891 0.759 Cl
0.627 0.109 0.241 Cl
0.709 0.018 0.514 Cl
0.716 0.066 0.023 Cl
0.779 0.960 0.744 Cl
0.891 0.373 0.259 Cl
0.895 0.051 0.322 Cl
0.911 0.965 0.931 Cl
0.934 0.284 0.477 Cl
0.949 0.105 0.178 Cl
0.960 0.779 0.244 Cl
0.965 0.911 0.431 Cl
0.982 0.291 0.986 Cl
```



The following is a GGA-PBE calculation of a relaxed Re3Te4Cl5 crystal, from the Materials Project database.

Properties
DFT formation energy = -713 meV per atom

Structure (POSCAR):
```
Re3Te4Cl5
1.0
20.332 0.000 0.000
0.000 16.003 0.000
0.000 0.000 9.433
Re Te Cl
24 32 40
direct
0.131 0.205 0.199 Re
0.133 0.363 0.096 Re
0.159 0.233 0.924 Re
0.228 0.309 0.273 Re
0.245 0.837 0.500 Re
0.247 0.681 0.599 Re
0.253 0.181 0.099 Re
0.255 0.337 0.000 Re
0.272 0.809 0.773 Re
0.341 0.733 0.424 Re
0.367 0.863 0.596 Re
0.369 0.705 0.699 Re
0.631 0.295 0.199 Re
0.633 0.137 0.096 Re
0.659 0.267 0.924 Re
0.728 0.191 0.273 Re
0.745 0.663 0.500 Re
0.747 0.819 0.599 Re
0.753 0.319 0.099 Re
0.755 0.163 0.000 Re
0.772 0.691 0.773 Re
0.841 0.767 0.424 Re
0.867 0.637 0.596 Re
0.869 0.795 0.699 Re
0.035 0.254 0.019 Te
0.038 0.477 0.084 Te
0.059 0.102 0.362 Te
0.107 0.335 0.375 Te
0.157 0.073 0.027 Te
0.163 0.391 0.820 Te
0.229 0.149 0.374 Te
0.231 0.469 0.170 Te
0.269 0.969 0.670 Te
0.271 0.649 0.874 Te
0.337 0.891 0.320 Te
0.343 0.573 0.527 Te
0.393 0.835 0.875 Te
0.441 0.602 0.862 Te
0.462 0.977 0.584 Te
0.465 0.754 0.519 Te
0.535 0.246 0.019 Te
0.538 0.023 0.084 Te
0.559 0.398 0.362 Te
0.607 0.165 0.375 Te
0.657 0.427 0.027 Te
0.663 0.109 0.820 Te
0.729 0.351 0.374 Te
0.731 0.031 0.170 Te
0.769 0.531 0.670 Te
0.771 0.851 0.874 Te
0.837 0.609 0.320 Te
0.843 0.927 0.527 Te
0.893 0.665 0.875 Te
0.941 0.898 0.862 Te
0.962 0.523 0.584 Te
0.965 0.746 0.519 Te
0.012 0.977 0.708 Cl
0.031 0.819 0.957 Cl
0.052 0.574 0.280 Cl
0.072 0.583 0.918 Cl
0.123 0.182 0.696 Cl
0.158 0.784 0.669 Cl
0.159 0.908 0.378 Cl
0.164 0.578 0.582 Cl
0.220 0.854 0.987 Cl
0.224 0.713 0.341 Cl
0.276 0.213 0.841 Cl
0.280 0.354 0.487 Cl
0.336 0.078 0.082 Cl
0.341 0.408 0.878 Cl
0.342 0.284 0.169 Cl
0.377 0.682 0.196 Cl
0.428 0.083 0.418 Cl
0.448 0.074 0.780 Cl
0.469 0.319 0.457 Cl
0.488 0.477 0.208 Cl
0.512 0.523 0.708 Cl
0.531 0.681 0.957 Cl
0.552 0.926 0.280 Cl
0.572 0.917 0.918 Cl
0.623 0.318 0.696 Cl
0.658 0.716 0.669 Cl
0.659 0.592 0.378 Cl
0.664 0.922 0.582 Cl
0.720 0.646 0.987 Cl
0.724 0.787 0.341 Cl
0.776 0.287 0.841 Cl
0.780 0.146 0.487 Cl
0.836 0.422 0.082 Cl
0.841 0.092 0.878 Cl
0.842 0.216 0.169 Cl
0.877 0.818 0.196 Cl
0.928 0.417 0.418 Cl
0.948 0.426 0.780 Cl
0.969 0.181 0.457 Cl
0.988 0.023 0.208 Cl
```



Volume across the listed records, respectively: 34.476 31.970 Å³ per atom.